(1)
The following is a GGA-PBE calculation of a geometry-optimized EuTaNO2 structure, from the Materials Project database.

## Properties
Energy relative to the elements ... -2.608 eV/atom
Space group ... P4/mmm (123)
M_tot ... 1.39 μB per atom
Crystal system ... tetragonal

a = 4.035 Å, b = 4.035 Å, c = 4.109 Å
α = 90.00°, β = 90.00°, γ = 90.00°
Atoms (fractional coordinates):
Eu 0.000 0.000 0.000
Ta 0.500 0.500 0.500
N 0.500 0.500 0.000
O 0.000 0.500 0.500
O 0.500 0.000 0.500

(2)
The following is a GGA-PBE calculation of a geometry-optimized Ca5Ge2O10 structure, from the Materials Project database.

## Properties
Energy relative to the elements ... -2.777 eV/atom
Space group ... P2_1/c (14)
M_tot ... 0.12 μB per atom
Crystal system ... monoclinic

a = 9.038 Å, b = 5.265 Å, c = 11.695 Å
α = 90.00°, β = 108.93°, γ = 90.00°
Atoms (fractional coordinates):
Ca 0.000 0.000 0.000
Ca 0.000 0.500 0.500
Ca 0.191 0.000 0.329
Ca 0.191 0.500 0.829
Ca 0.420 0.006 0.118
Ca 0.420 0.494 0.618
Ca 0.580 0.506 0.382
Ca 0.580 0.994 0.882
Ca 0.809 0.000 0.671
Ca 0.809 0.500 0.171
Ge 0.201 0.568 0.145
Ge 0.201 0.932 0.645
Ge 0.799 0.068 0.355
Ge 0.799 0.432 0.855
O 0.034 0.716 0.168
O 0.034 0.784 0.668
O 0.201 0.234 0.147
O 0.201 0.266 0.647
O 0.207 0.716 0.007
O 0.207 0.784 0.507
O 0.363 0.713 0.258
O 0.363 0.787 0.758
O 0.396 0.236 0.940
O 0.396 0.264 0.440
O 0.604 0.736 0.560
O 0.604 0.764 0.060
O 0.637 0.213 0.242
O 0.637 0.287 0.742
O 0.793 0.216 0.493
O 0.793 0.284 0.993
O 0.799 0.734 0.353
O 0.799 0.766 0.853
O 0.966 0.216 0.332
O 0.966 0.284 0.832

(3)
The following is a GGA-PBE calculation of a geometry-optimized CsTaSe3 structure, from the Materials Project database.

## Properties
Energy relative to the elements ... -1.261 eV/atom
Space group ... Pnma (62)
Crystal system ... orthorhombic
Distance to the lowest polymorph of the same formula ... 0.003 eV per atom

a = 6.189 Å, b = 7.760 Å, c = 13.440 Å
α = 90.00°, β = 90.00°, γ = 90.00°
Atoms (fractional coordinates):
Cs 0.248 0.250 0.084
Cs 0.252 0.750 0.584
Cs 0.748 0.250 0.416
Cs 0.752 0.750 0.916
Ta 0.041 0.750 0.252
Ta 0.459 0.250 0.752
Ta 0.541 0.750 0.248
Ta 0.959 0.250 0.748
Se 0.247 0.250 0.591
Se 0.250 0.011 0.827
Se 0.250 0.489 0.827
Se 0.250 0.511 0.327
Se 0.250 0.989 0.327
Se 0.253 0.750 0.091
Se 0.747 0.250 0.909
Se 0.750 0.011 0.673
Se 0.750 0.489 0.673
Se 0.750 0.511 0.173
Se 0.750 0.989 0.173
Se 0.753 0.750 0.409